[1]
This record from Materials Project describes a relaxed structure of Sr4Zn51. The functional is GGA-PBE.

Results
The total energy is -1.4545 eV per atom.

abc: 14.961 14.961 14.961
angles: 33.90 33.90 33.90
Fractional coordinates of all 55 atoms:
1 Sr 0.124 0.124 0.124
2 Sr 0.375 0.375 0.375
3 Sr 0.625 0.625 0.625
4 Sr 0.876 0.876 0.876
5 Zn 0.020 0.418 0.782
6 Zn 0.031 0.678 0.263
7 Zn 0.040 0.401 0.160
8 Zn 0.081 0.719 0.479
9 Zn 0.086 0.855 0.205
10 Zn 0.099 0.341 0.461
11 Zn 0.145 0.795 0.914
12 Zn 0.160 0.040 0.401
13 Zn 0.168 0.770 0.532
14 Zn 0.205 0.086 0.855
15 Zn 0.218 0.980 0.582
16 Zn 0.230 0.468 0.832
17 Zn 0.250 0.250 0.250
18 Zn 0.263 0.031 0.678
19 Zn 0.281 0.521 0.919
20 Zn 0.290 0.408 0.651
21 Zn 0.322 0.737 0.969
22 Zn 0.341 0.461 0.099
23 Zn 0.349 0.710 0.592
24 Zn 0.401 0.160 0.040
25 Zn 0.408 0.651 0.290
26 Zn 0.418 0.782 0.020
27 Zn 0.461 0.099 0.341
28 Zn 0.468 0.832 0.230
29 Zn 0.479 0.081 0.719
30 Zn 0.500 0.500 0.500
31 Zn 0.521 0.919 0.281
32 Zn 0.532 0.168 0.770
33 Zn 0.539 0.901 0.659
34 Zn 0.582 0.218 0.980
35 Zn 0.592 0.349 0.710
36 Zn 0.599 0.840 0.960
37 Zn 0.651 0.290 0.408
38 Zn 0.659 0.539 0.901
39 Zn 0.678 0.263 0.031
40 Zn 0.710 0.592 0.349
41 Zn 0.719 0.479 0.081
42 Zn 0.737 0.969 0.322
43 Zn 0.750 0.750 0.750
44 Zn 0.770 0.532 0.168
45 Zn 0.782 0.020 0.418
46 Zn 0.795 0.914 0.145
47 Zn 0.832 0.230 0.468
48 Zn 0.840 0.960 0.599
49 Zn 0.855 0.205 0.086
50 Zn 0.901 0.659 0.539
51 Zn 0.914 0.145 0.795
52 Zn 0.919 0.281 0.521
53 Zn 0.960 0.599 0.840
54 Zn 0.969 0.322 0.737
55 Zn 0.980 0.582 0.218

[2]
This record from Materials Project describes a relaxed structure of NdSnPt. The functional is GGA-PBE.

Results
The total energy is -5.9949 eV per atom.

abc: 7.649 7.649 4.152
angles: 90.00 90.00 120.00
Fractional coordinates of all 9 atoms:
1 Nd 0.000 0.410 0.000
2 Nd 0.410 0.000 0.000
3 Nd 0.590 0.590 0.000
4 Sn 0.000 0.747 0.500
5 Sn 0.253 0.253 0.500
6 Sn 0.747 0.000 0.500
7 Pt 0.000 0.000 0.000
8 Pt 0.333 0.667 0.500
9 Pt 0.667 0.333 0.500

[3]
This record from Materials Project describes a relaxed structure of La2MgS4. The functional is GGA-PBE.

Results
The MP2020-corrected energy is -6.03 eV per atom. The total energy is -5.7408 eV per atom. As for the offset from the most stable computed form: 1.28 eV/f.u.

abc: 7.773 9.061 11.978
angles: 101.12 97.02 90.38
Fractional coordinates of all 28 atoms:
1 La 0.133 0.449 0.337
2 La 0.142 0.969 0.343
3 La 0.252 0.134 0.999
4 La 0.366 0.296 0.660
5 La 0.634 0.704 0.340
6 La 0.748 0.866 0.001
7 La 0.858 0.031 0.657
8 La 0.867 0.551 0.663
9 Mg 0.253 0.624 0.990
10 Mg 0.358 0.794 0.686
11 Mg 0.642 0.206 0.314
12 Mg 0.747 0.376 0.010
13 S 0.092 0.412 0.105
14 S 0.111 0.900 0.110
15 S 0.201 0.549 0.604
16 S 0.203 0.011 0.618
17 S 0.302 0.721 0.386
18 S 0.353 0.224 0.385
19 S 0.382 0.833 0.892
20 S 0.405 0.361 0.892
21 S 0.595 0.639 0.108
22 S 0.618 0.167 0.108
23 S 0.647 0.776 0.615
24 S 0.698 0.279 0.614
25 S 0.797 0.989 0.382
26 S 0.799 0.451 0.396
27 S 0.889 0.100 0.890
28 S 0.908 0.588 0.895

What did the second record say?
This record from Materials Project describes a relaxed structure of NdSnPt. The functional is GGA-PBE.

Results
The total energy is -5.9949 eV per atom.

abc: 7.649 7.649 4.152
angles: 90.00 90.00 120.00
Fractional coordinates of all 9 atoms:
1 Nd 0.000 0.410 0.000
2 Nd 0.410 0.000 0.000
3 Nd 0.590 0.590 0.000
4 Sn 0.000 0.747 0.500
5 Sn 0.253 0.253 0.500
6 Sn 0.747 0.000 0.500
7 Pt 0.000 0.000 0.000
8 Pt 0.333 0.667 0.500
9 Pt 0.667 0.333 0.500